# ErTlSe2 meta-GGA r2SCAN relaxed
# Space group = R-3m
# Raw total energy = -366.4 eV for the cell shown
# Volume = 28.56 Å³ per atom
# DFT formation energy = -154 kJ/mol of atoms
data_ErTlSe2
_chemical_formula_sum 'Er3 Tl3 Se6'
_cell_length_a 4.1297
_cell_length_b 4.1297
_cell_length_c 23.2009
_cell_angle_alpha 90.00
_cell_angle_beta 90.00
_cell_angle_gamma 120.00
_space_group_name_H-M_alt 'P 1'
_space_group_IT_number 1
_space_group_name_Hall 'P 1'
loop_
_atom_site_label
_atom_site_fract_x
_atom_site_fract_y
_atom_site_fract_z
Er1 0.0000 0.0000 0.0000
Er2 0.3333 0.6667 0.6667
Er3 0.6667 0.3333 0.3333
Tl1 0.0000 0.0000 0.5000
Tl2 0.3333 0.6667 0.1667
Tl3 0.6667 0.3333 0.8333
Se1 0.0000 0.0000 0.2661
Se2 0.0000 0.0000 0.7339
Se3 0.3333 0.6667 0.4005
Se4 0.3333 0.6667 0.9328
Se5 0.6667 0.3333 0.0672
Se6 0.6667 0.3333 0.5995

***

# Rb2BrCl6F meta-GGA r2SCAN relaxed
# Space group = Fm-3m
# Raw total energy = -89.7 eV for the cell shown
# Volume = 25.63 Å³ per atom
# DFT formation energy = -82 kJ/mol of atoms
data_Rb2BrCl6F
_chemical_formula_sum 'Rb2 Br1 Cl6 F1'
_cell_length_a 7.1304
_cell_length_b 7.1304
_cell_length_c 7.1304
_cell_angle_alpha 60.00
_cell_angle_beta 60.00
_cell_angle_gamma 60.00
_space_group_name_H-M_alt 'P 1'
_space_group_IT_number 1
_space_group_name_Hall 'P 1'
loop_
_atom_site_label
_atom_site_fract_x
_atom_site_fract_y
_atom_site_fract_z
Rb1 0.2500 0.2500 0.2500
Rb2 0.7500 0.7500 0.7500
Br1 0.0000 0.0000 0.0000
Cl1 0.2429 0.2429 0.7571
Cl2 0.2429 0.7571 0.2429
Cl3 0.2429 0.7571 0.7571
Cl4 0.7571 0.2429 0.2429
Cl5 0.7571 0.2429 0.7571
Cl6 0.7571 0.7571 0.2429
F1 0.5000 0.5000 0.5000

***

# NaLi4Cl5 meta-GGA r2SCAN relaxed
# Raw total energy = -128.0 eV for the cell shown
# Volume = 17.64 Å³ per atom
# Distance to the lowest polymorph of the same formula = 0.02 eV per formula unit
# DFT formation energy = -194 kJ/mol of atoms
data_NaLi4Cl5
_chemical_formula_sum 'Na2 Li8 Cl10'
_cell_length_a 8.1869
_cell_length_b 8.1869
_cell_length_c 5.2637
_cell_angle_alpha 90.00
_cell_angle_beta 90.00
_cell_angle_gamma 90.00
_space_group_name_H-M_alt 'P 1'
_space_group_IT_number 1
_space_group_name_Hall 'P 1'
loop_
_atom_site_label
_atom_site_fract_x
_atom_site_fract_y
_atom_site_fract_z
Li1 0.4002 0.8009 0.0000
Li2 0.5998 0.1991 0.0000
Li3 0.6991 0.9002 0.5000
Li4 0.0998 0.6991 0.5000
Li5 0.1991 0.4002 0.0000
Li6 0.8009 0.5998 0.0000
Li7 0.3009 0.0998 0.5000
Li8 0.9002 0.3009 0.5000
Cl1 0.6076 0.1881 0.5000
Cl2 0.3924 0.8119 0.5000
Cl3 0.6881 0.8924 0.0000
Cl4 0.3119 0.1076 0.0000
Cl5 0.0000 0.0000 0.5000
Cl6 0.5000 0.5000 0.0000
Cl7 0.8119 0.6076 0.5000
Cl8 0.8924 0.3119 0.0000
Cl9 0.1881 0.3924 0.5000
Cl10 0.1076 0.6881 0.0000
Na1 0.0000 0.0000 0.0000
Na2 0.5000 0.5000 0.5000

***

# HgBr meta-GGA r2SCAN relaxed
# Space group = I4/mmm
# Raw total energy = -254.5 eV for the cell shown
# Volume = 31.74 Å³ per atom
# DFT formation energy = -48 kJ/mol of atoms
data_HgBr
_chemical_formula_sum 'Hg4 Br4'
_cell_length_a 4.7431
_cell_length_b 4.7431
_cell_length_c 11.2863
_cell_angle_alpha 90.00
_cell_angle_beta 90.00
_cell_angle_gamma 90.00
_space_group_name_H-M_alt 'P 1'
_space_group_IT_number 1
_space_group_name_Hall 'P 1'
loop_
_atom_site_label
_atom_site_fract_x
_atom_site_fract_y
_atom_site_fract_z
Hg1 0.0000 0.0000 0.1150
Hg2 0.0000 0.0000 0.8850
Hg3 0.5000 0.5000 0.3850
Hg4 0.5000 0.5000 0.6150
Br1 0.0000 0.0000 0.3435
Br2 0.0000 0.0000 0.6565
Br3 0.5000 0.5000 0.1565
Br4 0.5000 0.5000 0.8435

***

# LiTaS2 meta-GGA r2SCAN relaxed
# Space group = P6_3/mmc
# Raw total energy = -145.6 eV for the cell shown
# Volume = 15.64 Å³ per atom
# DFT formation energy = -139 kJ/mol of atoms
data_LiTaS2
_chemical_formula_sum 'Li2 Ta2 S4'
_cell_length_a 3.3486
_cell_length_b 3.3486
_cell_length_c 12.8881
_cell_angle_alpha 90.00
_cell_angle_beta 90.00
_cell_angle_gamma 120.00
_space_group_name_H-M_alt 'P 1'
_space_group_IT_number 1
_space_group_name_Hall 'P 1'
loop_
_atom_site_label
_atom_site_fract_x
_atom_site_fract_y
_atom_site_fract_z
Li1 0.0000 0.0000 0.0000
Li2 0.0000 0.0000 0.5000
Ta1 0.0000 0.0000 0.2500
Ta2 0.0000 0.0000 0.7500
S1 0.3333 0.6667 0.1279
S2 0.3333 0.6667 0.3721
S3 0.6667 0.3333 0.6279
S4 0.6667 0.3333 0.8721

***

# Zr2SeN2 meta-GGA r2SCAN relaxed
# Space group = P6_3/mmc
# Raw total energy = -175.4 eV for the cell shown
# Volume = 15.33 Å³ per atom
# DFT formation energy = -186 kJ/mol of atoms
data_Zr2SeN2
_chemical_formula_sum 'Zr4 Se2 N4'
_cell_length_a 3.6535
_cell_length_b 3.6535
_cell_length_c 13.2621
_cell_angle_alpha 90.00
_cell_angle_beta 90.00
_cell_angle_gamma 120.00
_space_group_name_H-M_alt 'P 1'
_space_group_IT_number 1
_space_group_name_Hall 'P 1'
loop_
_atom_site_label
_atom_site_fract_x
_atom_site_fract_y
_atom_site_fract_z
Zr1 0.3333 0.6667 0.0982
Zr2 0.3333 0.6667 0.4018
Zr3 0.6667 0.3333 0.5982
Zr4 0.6667 0.3333 0.9018
Se1 0.0000 0.0000 0.2500
Se2 0.0000 0.0000 0.7500
N1 0.3333 0.6667 0.5659
N2 0.3333 0.6667 0.9341
N3 0.6667 0.3333 0.0659
N4 0.6667 0.3333 0.4341